# 1
The following is a DFT calculation (GGA-PBE) of a relaxed structure of LaPb3.

```
data_LaPb3
_cell_length_a 4.968
_cell_length_b 4.968
_cell_length_c 4.968
_cell_angle_alpha 90.00
_cell_angle_beta 90.00
_cell_angle_gamma 90.00
_symmetry_space_group_name_H-M 'P 1'
_symmetry_Int_Tables_number 1
loop_
_symmetry_equiv_pos_as_xyz
'x,y,z'
loop_
_atom_site_label
_atom_site_type_symbol
_atom_site_fract_x
_atom_site_fract_y
_atom_site_fract_z
La1 La 0.000 0.000 0.000
Pb1 Pb 0.000 0.500 0.500
Pb2 Pb 0.500 0.000 0.500
Pb3 Pb 0.500 0.500 0.000
```

Calculated values
V ... 30.66 A^3/atom
E_form ... -0.447 eV per atom
Crystal system ... cubic
Electronic total energy ... -17.863 eV per cell

---

# 2
The following is a DFT calculation (GGA-PBE) of a relaxed structure of Er3ScS6.

```
data_Er3ScS6
_cell_length_a 10.776
_cell_length_b 3.858
_cell_length_c 11.114
_cell_angle_alpha 90.00
_cell_angle_beta 108.57
_cell_angle_gamma 90.00
_symmetry_space_group_name_H-M 'P 1'
_symmetry_Int_Tables_number 1
loop_
_symmetry_equiv_pos_as_xyz
'x,y,z'
loop_
_atom_site_label
_atom_site_type_symbol
_atom_site_fract_x
_atom_site_fract_y
_atom_site_fract_z
Er1 Er 0.047 0.250 0.196
Er2 Er 0.316 0.750 0.994
Er3 Er 0.439 0.250 0.334
Er4 Er 0.561 0.750 0.666
Er5 Er 0.684 0.250 0.006
Er6 Er 0.953 0.750 0.804
Sc1 Sc 0.155 0.250 0.583
Sc2 Sc 0.845 0.750 0.417
S1 S 0.080 0.750 0.408
S2 S 0.111 0.250 0.961
S3 S 0.191 0.750 0.740
S4 S 0.256 0.750 0.226
S5 S 0.387 0.250 0.560
S6 S 0.480 0.250 0.113
S7 S 0.520 0.750 0.887
S8 S 0.613 0.750 0.440
S9 S 0.744 0.250 0.774
S10 S 0.809 0.250 0.260
S11 S 0.889 0.750 0.039
S12 S 0.920 0.250 0.592
```

Calculated values
V ... 21.90 A^3/atom
E_form ... -2.321 eV per atom
Crystal system ... monoclinic
Electronic total energy ... -130.097 eV per cell

---

# 3
The following is a DFT calculation (GGA-PBE) of a relaxed structure of DyHoZn2.

```
data_DyHoZn2
_cell_length_a 5.003
_cell_length_b 5.003
_cell_length_c 5.003
_cell_angle_alpha 60.00
_cell_angle_beta 60.00
_cell_angle_gamma 60.00
_symmetry_space_group_name_H-M 'P 1'
_symmetry_Int_Tables_number 1
loop_
_symmetry_equiv_pos_as_xyz
'x,y,z'
loop_
_atom_site_label
_atom_site_type_symbol
_atom_site_fract_x
_atom_site_fract_y
_atom_site_fract_z
Dy1 Dy 0.000 0.000 0.000
Ho1 Ho 0.500 0.500 0.500
Zn1 Zn 0.250 0.250 0.250
Zn2 Zn 0.750 0.750 0.750
```

Calculated values
V ... 22.13 A^3/atom
E_form ... -0.347 eV per atom
Crystal system ... cubic
Electronic total energy ... -13.096 eV per cell

---

# 4
The following is a DFT calculation (GGA-PBE) of a relaxed structure of Er6Ga17Pt5.

```
data_Er6Ga17Pt5
_cell_length_a 8.150
_cell_length_b 8.150
_cell_length_c 15.775
_cell_angle_alpha 101.99
_cell_angle_beta 101.99
_cell_angle_gamma 30.16
_symmetry_space_group_name_H-M 'P 1'
_symmetry_Int_Tables_number 1
loop_
_symmetry_equiv_pos_as_xyz
'x,y,z'
loop_
_atom_site_label
_atom_site_type_symbol
_atom_site_fract_x
_atom_site_fract_y
_atom_site_fract_z
Er1 Er 0.090 0.090 0.409
Er2 Er 0.250 0.250 0.253
Er3 Er 0.402 0.402 0.095
Er4 Er 0.598 0.598 0.905
Er5 Er 0.750 0.750 0.747
Er6 Er 0.910 0.910 0.591
Ga1 Ga 0.000 0.000 0.000
Ga2 Ga 0.039 0.039 0.177
Ga3 Ga 0.107 0.107 0.767
Ga4 Ga 0.178 0.178 0.040
Ga5 Ga 0.237 0.237 0.892
Ga6 Ga 0.269 0.269 0.604
Ga7 Ga 0.326 0.326 0.457
Ga8 Ga 0.396 0.396 0.735
Ga9 Ga 0.458 0.458 0.325
Ga10 Ga 0.542 0.542 0.675
Ga11 Ga 0.604 0.604 0.265
Ga12 Ga 0.674 0.674 0.543
Ga13 Ga 0.731 0.731 0.396
Ga14 Ga 0.763 0.763 0.108
Ga15 Ga 0.822 0.822 0.960
Ga16 Ga 0.893 0.893 0.233
Ga17 Ga 0.961 0.961 0.823
Pt1 Pt 0.105 0.105 0.604
Pt2 Pt 0.404 0.404 0.903
Pt3 Pt 0.500 0.500 0.500
Pt4 Pt 0.596 0.596 0.097
Pt5 Pt 0.895 0.895 0.396
```

Calculated values
V ... 18.37 A^3/atom
E_form ... -0.702 eV per atom
Crystal system ... monoclinic
Total moment ... 0.0 Bohr magnetons per cell
Electronic total energy ... -128.892 eV per cell

---

# 5
The following is a DFT calculation (GGA-PBE) of a relaxed structure of LaCo5H4.

```
data_LaCo5H4
_cell_length_a 5.226
_cell_length_b 5.226
_cell_length_c 4.042
_cell_angle_alpha 90.00
_cell_angle_beta 90.00
_cell_angle_gamma 117.18
_symmetry_space_group_name_H-M 'P 1'
_symmetry_Int_Tables_number 1
loop_
_symmetry_equiv_pos_as_xyz
'x,y,z'
loop_
_atom_site_label
_atom_site_type_symbol
_atom_site_fract_x
_atom_site_fract_y
_atom_site_fract_z
La1 La 0.000 0.000 0.000
Co1 Co 0.000 0.500 0.500
Co2 Co 0.365 0.635 0.000
Co3 Co 0.500 0.000 0.500
Co4 Co 0.500 0.500 0.500
Co5 Co 0.635 0.365 0.000
H1 H 0.000 0.500 0.000
H2 H 0.147 0.853 0.500
H3 H 0.500 0.000 0.000
H4 H 0.853 0.147 0.500
```

Calculated values
V ... 9.82 A^3/atom
E_form ... -0.172 eV per atom
Crystal system ... orthorhombic
Total moment ... 6.3 Bohr magnetons per cell
Electronic total energy ... -55.050 eV per cell